(1)
## BaSr2I6 (r2SCAN)

Data for an optimized crystal structure of BaSr2I6.

Formation energy ... -1.942 eV per atom
Final energy ... -24.625 eV per atom
Volume ... 50.4 A^3/atom
Crystal system ... orthorhombic
ΔE to the lowest computed polymorph ... 0.41 kcal/mol of atoms

abc: 7.587 8.498 28.138
angles: 90.00 90.00 90.00
Element x y z (fractional)
I1 0.250 0.566 0.706
I2 0.738 0.929 0.534
I3 0.757 0.409 0.630
I4 0.257 0.091 0.130
I5 0.762 0.929 0.034
I6 0.238 0.571 0.034
I7 0.238 0.071 0.966
I8 0.262 0.071 0.466
I9 0.743 0.409 0.130
I10 0.250 0.066 0.794
I11 0.262 0.571 0.534
I12 0.750 0.434 0.294
I13 0.243 0.591 0.370
I14 0.743 0.909 0.870
I15 0.257 0.591 0.870
I16 0.750 0.934 0.706
I17 0.250 0.566 0.206
I18 0.250 0.066 0.294
I19 0.750 0.934 0.206
I20 0.757 0.909 0.370
I21 0.738 0.429 0.466
I22 0.750 0.434 0.794
I23 0.243 0.091 0.630
I24 0.762 0.429 0.966
Ba1 0.000 0.250 0.381
Ba2 0.500 0.750 0.119
Ba3 0.500 0.250 0.881
Ba4 0.000 0.750 0.619
Sr1 0.500 0.250 0.548
Sr2 0.500 0.750 0.452
Sr3 0.000 0.250 0.048
Sr4 0.500 0.750 0.785
Sr5 0.000 0.250 0.715
Sr6 0.000 0.750 0.285
Sr7 0.500 0.250 0.215
Sr8 0.000 0.750 0.952



(2)
## BaSr2I6 (r2SCAN)

Data for an optimized crystal structure of BaSr2I6.

Formation energy ... -1.946 eV per atom
Final energy ... -24.628 eV per atom
Volume ... 50.5 A^3/atom
Crystal system ... monoclinic
ΔE to the lowest computed polymorph ... 0.33 kcal/mol of atoms

abc: 8.366 8.373 7.484
angles: 89.95 89.96 119.88
Element x y z (fractional)
I1 0.650 0.000 0.747
I2 0.651 0.651 0.253
I3 0.001 0.350 0.254
I4 0.349 0.349 0.746
I5 0.350 0.001 0.254
I6 0.999 0.650 0.746
Ba1 0.000 0.000 0.000
Sr1 0.667 0.333 0.500
Sr2 0.333 0.667 0.500



(3)
## BaYI5 (r2SCAN)

Data for an optimized crystal structure of BaYI5.

Formation energy ... -1.738 eV per atom
Final energy ... -25.967 eV per atom
Volume ... 45.3 A^3/atom
Crystal system ... orthorhombic

abc: 7.789 8.587 18.970
angles: 90.00 90.00 90.00
Element x y z (fractional)
I1 0.632 0.127 0.350
I2 0.077 0.408 0.284
I3 0.616 0.594 0.328
I4 0.868 0.873 0.850
I5 0.470 0.351 0.976
I6 0.423 0.592 0.784
I7 0.923 0.908 0.216
I8 0.384 0.094 0.172
I9 0.970 0.149 0.024
I10 0.385 0.871 0.957
I11 0.132 0.373 0.650
I12 0.577 0.092 0.716
I13 0.530 0.851 0.524
I14 0.030 0.649 0.476
I15 0.368 0.627 0.150
I16 0.115 0.129 0.457
I17 0.885 0.629 0.043
I18 0.615 0.371 0.543
I19 0.116 0.906 0.672
I20 0.884 0.406 0.828
Y1 0.152 0.882 0.090
Y2 0.348 0.118 0.590
Y3 0.652 0.618 0.910
Y4 0.848 0.382 0.410
Ba1 0.769 0.662 0.669
Ba2 0.731 0.338 0.169
Ba3 0.231 0.162 0.831
Ba4 0.269 0.838 0.331



(4)
## BaIn4 (r2SCAN)

Data for an optimized crystal structure of BaIn4.

Formation energy ... -0.491 eV per atom
Final energy ... -23.854 eV per atom
Volume ... 30.5 A^3/atom
Crystal system ... tetragonal

abc: 5.030 5.030 7.004
angles: 111.04 111.04 90.00
Element x y z (fractional)
In1 0.750 0.250 0.500
In2 0.382 0.382 0.764
In3 0.250 0.750 0.500
In4 0.618 0.618 0.236
Ba1 0.000 0.000 0.000



(5)
## BaIn9Ir2 (r2SCAN)

Data for an optimized crystal structure of BaIn9Ir2.

Formation energy ... -0.386 eV per atom
Final energy ... -28.255 eV per atom
Volume ... 24.9 A^3/atom
Crystal system ... hexagonal

abc: 8.932 8.932 4.329
angles: 90.00 90.00 120.00
Element x y z (fractional)
In1 0.207 0.793 0.500
In2 0.585 0.793 0.500
In3 0.207 0.415 0.500
In4 0.500 0.000 0.000
In5 0.415 0.207 0.500
In6 0.793 0.585 0.500
In7 0.793 0.207 0.500
In8 0.500 0.500 0.000
In9 0.000 0.500 0.000
Ba1 0.000 0.000 0.000
Ir1 0.667 0.333 0.000
Ir2 0.333 0.667 0.000



(6)
## BaIn4Ir (r2SCAN)

Data for an optimized crystal structure of BaIn4Ir.

Formation energy ... -0.466 eV per atom
Final energy ... -28.662 eV per atom
Volume ... 25.8 A^3/atom
Crystal system ... orthorhombic

abc: 4.444 8.023 8.689
angles: 90.00 90.00 90.00
Element x y z (fractional)
Ir1 0.000 0.182 0.250
Ir2 0.000 0.818 0.750
In1 0.500 0.054 0.750
In2 0.500 0.704 0.570
In3 0.500 0.296 0.430
In4 0.000 0.000 0.000
In5 0.500 0.946 0.250
In6 0.500 0.704 0.930
In7 0.500 0.296 0.070
In8 0.000 0.000 0.500
Ba1 0.000 0.393 0.750
Ba2 0.000 0.607 0.250



(7)
## Ba2InRuO6 (r2SCAN)

Data for an optimized crystal structure of Ba2InRuO6.

Formation energy ... -2.163 eV per atom
Final energy ... -15.847 eV per atom
Volume ... 14.5 A^3/atom
Crystal system ... trigonal

abc: 5.882 5.882 14.544
angles: 90.00 90.00 120.00
Element x y z (fractional)
O1 0.027 0.513 0.757
O2 0.156 0.312 0.578
O3 0.654 0.827 0.916
O4 0.312 0.156 0.422
O5 0.844 0.688 0.422
O6 0.173 0.827 0.916
O7 0.827 0.173 0.084
O8 0.487 0.973 0.757
O9 0.513 0.027 0.243
O10 0.513 0.487 0.243
O11 0.173 0.346 0.916
O12 0.827 0.654 0.084
O13 0.973 0.487 0.243
O14 0.346 0.173 0.084
O15 0.156 0.844 0.578
O16 0.487 0.513 0.757
O17 0.688 0.844 0.578
O18 0.844 0.156 0.422
Ba1 0.667 0.333 0.598
Ba2 0.000 0.000 0.753
Ba3 0.333 0.667 0.094
Ba4 0.667 0.333 0.906
Ba5 0.000 0.000 0.247
Ba6 0.333 0.667 0.402
Ru1 0.000 0.000 0.500
Ru2 0.667 0.333 0.157
Ru3 0.333 0.667 0.843
In1 0.667 0.333 0.349
In2 0.333 0.667 0.651
In3 0.000 0.000 0.000



(8)
## BaIn2Pt (r2SCAN)

Data for an optimized crystal structure of BaIn2Pt.

Formation energy ... -0.745 eV per atom
Final energy ... -31.531 eV per atom
Volume ... 27.4 A^3/atom
Crystal system ... orthorhombic

abc: 4.527 6.415 8.073
angles: 90.00 90.00 110.66
Element x y z (fractional)
Pt1 0.775 0.550 0.750
Pt2 0.225 0.450 0.250
In1 0.332 0.665 0.943
In2 0.668 0.335 0.443
In3 0.332 0.665 0.557
In4 0.668 0.335 0.057
Ba1 0.049 0.099 0.750
Ba2 0.951 0.901 0.250



(9)
## BaIn2S4 (r2SCAN)

Data for an optimized crystal structure of BaIn2S4.

Formation energy ... -1.295 eV per atom
Final energy ... -16.123 eV per atom
Volume ... 28.7 A^3/atom
Crystal system ... orthorhombic

abc: 15.577 12.914 12.788
angles: 74.62 53.07 52.33
Element x y z (fractional)
In1 0.161 0.589 0.982
In2 0.089 0.661 0.268
In3 0.589 0.161 0.268
In4 0.982 0.268 0.161
In5 0.982 0.268 0.661
In6 0.763 0.488 0.512
In7 0.487 0.762 0.738
In8 0.236 0.512 0.488
In9 0.268 0.982 0.089
In10 0.661 0.089 0.982
In11 0.488 0.763 0.236
In12 0.762 0.487 0.014
In13 0.738 0.014 0.487
In14 0.014 0.738 0.762
In15 0.512 0.236 0.763
In16 0.268 0.982 0.589
S1 0.280 0.967 0.780
S2 0.970 0.283 0.470
S3 0.040 0.542 0.210
S4 0.776 0.472 0.812
S5 0.967 0.280 0.972
S6 0.470 0.278 0.970
S7 0.042 0.040 0.708
S8 0.474 0.778 0.438
S9 0.540 0.543 0.209
S10 0.972 0.780 0.967
S11 0.778 0.474 0.309
S12 0.543 0.540 0.708
S13 0.438 0.309 0.474
S14 0.710 0.707 0.041
S15 0.208 0.210 0.542
S16 0.278 0.470 0.283
S17 0.780 0.972 0.280
S18 0.040 0.042 0.210
S19 0.941 0.812 0.472
S20 0.210 0.208 0.040
S21 0.209 0.708 0.540
S22 0.708 0.209 0.543
S23 0.708 0.210 0.042
S24 0.309 0.438 0.778
S25 0.283 0.970 0.278
S26 0.210 0.708 0.040
S27 0.542 0.041 0.707
S28 0.542 0.040 0.208
S29 0.472 0.776 0.941
S30 0.707 0.710 0.542
S31 0.041 0.542 0.710
S32 0.812 0.941 0.776
Ba1 0.752 0.753 0.248
Ba2 0.250 0.250 0.250
Ba3 0.500 0.500 0.500
Ba4 0.498 0.497 0.002
Ba5 0.248 0.248 0.752
Ba6 0.750 0.750 0.750
Ba7 0.002 0.002 0.498
Ba8 0.000 0.000 0.000



(10)
## Ba2InS4 (r2SCAN)

Data for an optimized crystal structure of Ba2InS4.

Formation energy ... -1.672 eV per atom
Final energy ... -17.059 eV per atom
Volume ... 29.2 A^3/atom
Crystal system ... triclinic

abc: 6.315 10.153 13.154
angles: 104.21 90.43 91.01
Element x y z (fractional)
S1 0.756 0.962 0.886
S2 0.760 0.665 0.429
S3 0.753 0.367 0.047
S4 0.718 0.256 0.724
S5 0.247 0.633 0.953
S6 0.736 0.040 0.392
S7 0.082 0.348 0.313
S8 0.228 0.220 0.880
S9 0.414 0.347 0.314
S10 0.586 0.653 0.686
S11 0.282 0.744 0.276
S12 0.244 0.038 0.114
S13 0.264 0.960 0.608
S14 0.918 0.652 0.687
S15 0.772 0.780 0.120
S16 0.240 0.335 0.571
Ba1 0.762 0.921 0.619
Ba2 0.744 0.574 0.892
Ba3 0.238 0.079 0.381
Ba4 0.259 0.893 0.850
Ba5 0.746 0.378 0.523
Ba6 0.256 0.426 0.108
Ba7 0.741 0.107 0.150
Ba8 0.254 0.622 0.477
In1 0.833 0.197 0.888
In2 0.678 0.793 0.303
In3 0.322 0.207 0.697
In4 0.167 0.803 0.112



(11)
## Ba2In2S5 (r2SCAN)

Data for an optimized crystal structure of Ba2In2S5.

Formation energy ... -1.540 eV per atom
Final energy ... -16.910 eV per atom
Volume ... 28.4 A^3/atom
Crystal system ... orthorhombic

abc: 11.929 12.848 13.323
angles: 90.00 90.00 90.00
Element x y z (fractional)
S1 0.757 0.357 0.459
S2 0.094 0.378 0.524
S3 0.259 0.487 0.292
S4 0.257 0.143 0.459
S5 0.431 0.389 0.570
S6 0.431 0.889 0.930
S7 0.069 0.889 0.430
S8 0.741 0.013 0.792
S9 0.757 0.857 0.041
S10 0.569 0.611 0.430
S11 0.241 0.487 0.792
S12 0.594 0.622 0.976
S13 0.259 0.987 0.208
S14 0.406 0.378 0.024
S15 0.759 0.513 0.208
S16 0.502 0.779 0.223
S17 0.743 0.857 0.541
S18 0.998 0.779 0.723
S19 0.498 0.721 0.723
S20 0.931 0.111 0.570
S21 0.502 0.279 0.277
S22 0.931 0.611 0.930
S23 0.243 0.143 0.959
S24 0.094 0.878 0.976
S25 0.069 0.389 0.070
S26 0.741 0.513 0.708
S27 0.759 0.013 0.292
S28 0.243 0.643 0.541
S29 0.002 0.221 0.277
S30 0.906 0.622 0.476
S31 0.241 0.987 0.708
S32 0.998 0.279 0.777
S33 0.257 0.643 0.041
S34 0.498 0.221 0.777
S35 0.594 0.122 0.524
S36 0.406 0.878 0.476
S37 0.743 0.357 0.959
S38 0.906 0.122 0.024
S39 0.002 0.721 0.223
S40 0.569 0.111 0.070
In1 0.775 0.035 0.473
In2 0.725 0.035 0.973
In3 0.943 0.300 0.950
In4 0.057 0.200 0.450
In5 0.275 0.465 0.473
In6 0.443 0.700 0.550
In7 0.225 0.465 0.973
In8 0.943 0.800 0.550
In9 0.557 0.800 0.050
In10 0.275 0.965 0.027
In11 0.057 0.700 0.050
In12 0.557 0.300 0.450
In13 0.725 0.535 0.527
In14 0.443 0.200 0.950
In15 0.225 0.965 0.527
In16 0.775 0.535 0.027
Ba1 0.495 0.026 0.306
Ba2 0.505 0.974 0.694
Ba3 0.749 0.254 0.192
Ba4 0.005 0.026 0.806
Ba5 0.505 0.474 0.806
Ba6 0.249 0.246 0.192
Ba7 0.995 0.974 0.194
Ba8 0.251 0.246 0.692
Ba9 0.751 0.254 0.692
Ba10 0.251 0.746 0.808
Ba11 0.005 0.526 0.694
Ba12 0.495 0.526 0.194
Ba13 0.995 0.474 0.306
Ba14 0.749 0.754 0.308
Ba15 0.751 0.754 0.808
Ba16 0.249 0.746 0.308



(12)
## Ba5In2Sb6 (r2SCAN)

Data for an optimized crystal structure of Ba5In2Sb6.

Formation energy ... -1.000 eV per atom
Final energy ... -26.530 eV per atom
Volume ... 39.2 A^3/atom
Crystal system ... orthorhombic

abc: 4.849 13.543 15.513
angles: 90.00 90.00 90.00
Element x y z (fractional)
Ba1 0.500 0.413 0.252
Ba2 0.500 0.913 0.248
Ba3 0.500 0.328 0.518
Ba4 0.500 0.587 0.748
Ba5 0.500 0.087 0.752
Ba6 0.500 0.172 0.018
Ba7 0.500 0.000 0.500
Ba8 0.500 0.828 0.982
Ba9 0.500 0.500 0.000
Ba10 0.500 0.672 0.482
Sb1 0.000 0.987 0.092
Sb2 0.500 0.837 0.684
Sb3 0.500 0.163 0.316
Sb4 0.000 0.013 0.908
Sb5 0.000 0.342 0.097
Sb6 0.000 0.487 0.408
Sb7 0.500 0.337 0.816
Sb8 0.000 0.158 0.597
Sb9 0.000 0.842 0.403
Sb10 0.500 0.663 0.184
Sb11 0.000 0.513 0.592
Sb12 0.000 0.658 0.903
In1 0.000 0.326 0.711
In2 0.000 0.174 0.211
In3 0.000 0.826 0.789
In4 0.000 0.674 0.289



(13)
## BaZnIn3 (r2SCAN)

Data for an optimized crystal structure of BaZnIn3.

Formation energy ... -0.452 eV per atom
Final energy ... -21.082 eV per atom
Volume ... 27.5 A^3/atom
Crystal system ... tetragonal

abc: 6.929 6.929 6.929
angles: 139.74 139.74 58.24
Element x y z (fractional)
In1 0.242 0.742 0.500
In2 0.394 0.394 0.000
In3 0.742 0.242 0.500
Ba1 0.004 0.004 0.000
Zn1 0.617 0.617 0.000



(14)
## Ba2ZnIn (r2SCAN)

Data for an optimized crystal structure of Ba2ZnIn.

Formation energy ... -0.291 eV per atom
Final energy ... -21.413 eV per atom
Volume ... 37.0 A^3/atom
Crystal system ... cubic

abc: 5.938 5.938 5.938
angles: 60.00 60.00 60.00
Element x y z (fractional)
Ba1 0.250 0.250 0.250
Ba2 0.750 0.750 0.750
Zn1 0.000 0.000 0.000
In1 0.500 0.500 0.500